# 1
Ba10Si69 after structural relaxation. Source: the Materials Project, functional PBE.

Summary:
DFT formation energy in eV per atom: -0.03

a b c (Å): 10.340 10.362 31.174
angles (deg): 90.00 90.00 90.00
Space group Pmmm (No. 47)
Asymmetric unit:
Ba: 0.000 0.000 0.083 (multiplicity 2)
Ba: 0.000 0.000 0.250 (multiplicity 2)
Ba: 0.000 0.000 0.415 (multiplicity 2)
Ba: 0.000 0.500 0.333 (multiplicity 2)
Ba: 0.249 0.500 0.500 (multiplicity 2)
Ba: 0.250 0.500 0.166 (multiplicity 4)
Ba: 0.500 0.250 0.000 (multiplicity 2)
Ba: 0.500 0.253 0.333 (multiplicity 4)
Si: 0.000 0.247 0.500 (multiplicity 2)
Si: 0.000 0.248 0.166 (multiplicity 4)
Si: 0.000 0.377 0.102 (multiplicity 4)
Si: 0.000 0.378 0.231 (multiplicity 4)
Si: 0.000 0.380 0.436 (multiplicity 4)
Si: 0.121 0.197 0.000 (multiplicity 4)
Si: 0.123 0.193 0.333 (multiplicity 8)
Si: 0.184 0.316 0.062 (multiplicity 8)
Si: 0.188 0.313 0.271 (multiplicity 8)
Si: 0.188 0.314 0.396 (multiplicity 8)
Si: 0.196 0.119 0.500 (multiplicity 4)
Si: 0.197 0.119 0.167 (multiplicity 8)
Si: 0.250 0.000 0.000 (multiplicity 2)
Si: 0.253 0.000 0.334 (multiplicity 4)
Si: 0.304 0.500 0.041 (multiplicity 4)
Si: 0.307 0.500 0.293 (multiplicity 4)
Si: 0.307 0.500 0.374 (multiplicity 4)
Si: 0.316 0.184 0.105 (multiplicity 8)
Si: 0.318 0.182 0.228 (multiplicity 8)
Si: 0.318 0.182 0.439 (multiplicity 8)
Si: 0.377 0.000 0.065 (multiplicity 4)
Si: 0.379 0.000 0.399 (multiplicity 4)
Si: 0.380 0.000 0.268 (multiplicity 4)
Si: 0.500 0.304 0.126 (multiplicity 4)
Si: 0.500 0.305 0.207 (multiplicity 4)
Si: 0.500 0.306 0.460 (multiplicity 4)
Si: 0.500 0.500 0.083 (multiplicity 2)
Si: 0.500 0.500 0.249 (multiplicity 2)
Si: 0.500 0.500 0.419 (multiplicity 2)

***

# 2
BaSi after structural relaxation. Source: the Materials Project, functional PBE.

Summary:
DFT formation energy in eV per atom: 0.13

a b c (Å): 3.477 13.067 5.835
angles (deg): 90.00 90.00 90.00
Space group Cmcm (No. 63)
Asymmetric unit:
Ba: 0.000 0.123 0.250 (multiplicity 4)
Si: 0.000 0.387 0.250 (multiplicity 4)

***

# 3
BaSi23 after structural relaxation. Source: the Materials Project, functional PBE.

Summary:
DFT formation energy in eV per atom: 0.11

a b c (Å): 10.273 10.273 10.273
angles (deg): 90.00 90.00 90.00
Space group Pm-3n (No. 223)
Asymmetric unit:
Ba: 0.000 0.000 0.000 (multiplicity 2)
Si: 0.000 0.117 0.310 (multiplicity 24)
Si: 0.000 0.250 0.500 (multiplicity 6)
Si: 0.185 0.185 0.185 (multiplicity 16)

***

# 4
BaSi after structural relaxation. Source: the Materials Project, functional PBE.

Summary:
DFT formation energy in eV per atom: -0.39

a b c (Å): 5.061 12.121 4.158
angles (deg): 90.00 90.00 90.00
Space group Cmcm (No. 63)
Asymmetric unit:
Ba: 0.000 0.140 0.250 (multiplicity 4)
Si: 0.000 0.442 0.250 (multiplicity 4)

***

# 5
BaSiTc2 after structural relaxation. Source: the Materials Project, functional PBE.

Summary:
DFT formation energy in eV per atom: 1.00

a b c (Å): 6.785 6.785 6.785
angles (deg): 90.00 90.00 90.00
Space group F-43m (No. 216)
Asymmetric unit:
Ba: 0.000 0.000 0.000 (multiplicity 4)
Si: 0.250 0.250 0.250 (multiplicity 4)
Tc: 0.000 0.000 0.500 (multiplicity 4)
Tc: 0.250 0.250 0.750 (multiplicity 4)

***

# 6
BaZn2Si2 after structural relaxation. Source: the Materials Project, functional PBE.

Summary:
DFT formation energy in eV per atom: -0.27

a b c (Å): 4.515 4.515 10.274
angles (deg): 90.00 90.00 90.00
Space group I4/mmm (No. 139)
Asymmetric unit:
Ba: 0.000 0.000 0.000 (multiplicity 2)
Zn: 0.000 0.500 0.250 (multiplicity 4)
Si: 0.000 0.000 0.379 (multiplicity 4)